Li2CuSbCl6 | GGA-PBE | optimized geometry

Cell: 7.2233 7.2233 7.2233 Å, 60.00 60.00 60.00°
Last column: nearest neighbours and their distance in Å.
Atoms (fractional coordinates):
Li  0.2500  0.2500  0.2500  12 Cl 3.61
Li  0.7500  0.7500  0.7500  12 Cl 3.61
Cu  0.0000  0.0000  0.0000  6 Cl 2.46
Sb  0.5000  0.5000  0.5000  6 Cl 2.65
Cl  0.2407  0.2407  0.7593  1 Cu 2.46, 1 Sb 2.65
Cl  0.2407  0.7593  0.2407  1 Cu 2.46, 1 Sb 2.65
Cl  0.2407  0.7593  0.7593  1 Cu 2.46, 1 Sb 2.65
Cl  0.7593  0.2407  0.2407  1 Cu 2.46, 1 Sb 2.65
Cl  0.7593  0.2407  0.7593  1 Cu 2.46, 1 Sb 2.65
Cl  0.7593  0.7593  0.2407  1 Cu 2.46, 1 Sb 2.65

Computed properties:
Magnetic moment: 0.0 μB per formula unit
Energy: -3.181 eV/atom
Space-group type: Fm-3m